The following is a GGA-PBE calculation of Ga2Fe2S5 after structural relaxation, from the Materials Project database.

Unit cell a=3.6280 b=3.6280 c=15.0835 alpha=90.00 beta=90.00 gamma=120.00
Space group P-3m1 (No. 164)
Inequivalent atoms, fractional coordinates:
1 Ga 0.3333 0.6667 0.3249 [2 per cell]
2 Fe 0.3333 0.6667 0.9094 [2 per cell]
3 S 0.0000 0.0000 0.0000 [1 per cell]
4 S 0.3333 0.6667 0.1772 [2 per cell]
5 S 0.3333 0.6667 0.6052 [2 per cell]

Calculated values
VASP energy, eV/atom: -5.266
Energy with MP2020 corrections, eV per atom: -5.55
Volume, A^3/atom: 19.1
Energy above the most stable polymorph in this dataset, kJ/mol of atoms: 1.95

=====

The following is a GGA-PBE calculation of Tb3GaFeS7 after structural relaxation, from the Materials Project database.

Unit cell a=9.6697 b=9.6697 c=6.1399 alpha=90.00 beta=90.00 gamma=120.00
Space group P6_3 (No. 173)
Inequivalent atoms, fractional coordinates:
1 Tb 0.1532 0.7752 0.0000 [6 per cell]
2 Ga 0.3333 0.6667 0.5733 [2 per cell]
3 Fe 0.0000 0.0000 0.1814 [2 per cell]
4 S 0.0888 0.5190 0.7320 [6 per cell]
5 S 0.1009 0.8630 0.4157 [6 per cell]
6 S 0.3333 0.6667 0.2043 [2 per cell]

Calculated values
VASP energy, eV/atom: -5.997
Energy with MP2020 corrections, eV per atom: -6.29
Volume, A^3/atom: 20.7

=====

The following is a GGA-PBE calculation of Sc3Ga6Fe2 after structural relaxation, from the Materials Project database.

Unit cell a=8.1545 b=8.4224 c=10.4279 alpha=90.00 beta=90.00 gamma=90.00
Space group Pnma (No. 62)
Inequivalent atoms, fractional coordinates:
1 Sc 0.0399 0.2500 0.0642 [4 per cell]
2 Sc 0.0674 0.5523 0.6399 [8 per cell]
3 Ga 0.0984 0.7500 0.4092 [4 per cell]
4 Ga 0.1160 0.5888 0.1564 [8 per cell]
5 Ga 0.2045 0.0057 0.9128 [8 per cell]
6 Ga 0.2202 0.2500 0.2843 [4 per cell]
7 Fe 0.1371 0.2500 0.7641 [4 per cell]
8 Fe 0.1824 0.2500 0.5223 [4 per cell]

Calculated values
VASP energy, eV/atom: -5.396
Volume, A^3/atom: 16.3

=====

The following is a GGA-PBE calculation of ScGa5Fe after structural relaxation, from the Materials Project database.

Unit cell a=4.1615 b=4.1615 c=6.7021 alpha=90.00 beta=90.00 gamma=90.00
Space group P4/mmm (No. 123)
Inequivalent atoms, fractional coordinates:
1 Sc 0.0000 0.0000 0.0000 [1 per cell]
2 Ga 0.0000 0.5000 0.3048 [4 per cell]
3 Ga 0.5000 0.5000 0.0000 [1 per cell]
4 Fe 0.0000 0.0000 0.5000 [1 per cell]

Calculated values
VASP energy, eV/atom: -4.661
Volume, A^3/atom: 16.6

=====

The following is a GGA-PBE calculation of ScGa6Fe6 after structural relaxation, from the Materials Project database.

Unit cell a=4.9934 b=8.4316 c=8.5983 alpha=90.00 beta=90.00 gamma=90.00
Space group Immm (No. 71)
Inequivalent atoms, fractional coordinates:
1 Sc 0.0000 0.0000 0.0000 [2 per cell]
2 Ga 0.0000 0.0000 0.3406 [4 per cell]
3 Ga 0.0000 0.3266 0.0000 [4 per cell]
4 Ga 0.0000 0.5000 0.3234 [4 per cell]
5 Fe 0.0000 0.2563 0.5000 [4 per cell]
6 Fe 0.2500 0.2500 0.2500 [8 per cell]

Calculated values
VASP energy, eV/atom: -6.114
Volume, A^3/atom: 13.9

=====

The following is a GGA-PBE calculation of Ga2FeSe4 after structural relaxation, from the Materials Project database.

Unit cell a=5.5165 b=5.5165 c=5.7449 alpha=90.00 beta=90.00 gamma=90.00
Space group P-42m (No. 111)
Inequivalent atoms, fractional coordinates:
1 Ga 0.0000 0.5000 0.0000 [2 per cell]
2 Fe 0.0000 0.0000 0.5000 [1 per cell]
3 Se 0.2588 0.2588 0.7374 [4 per cell]

Calculated values
VASP energy, eV/atom: -4.521
Energy with MP2020 corrections, eV per atom: -4.79
Volume, A^3/atom: 25.0

=====

The following is a GGA-PBE calculation of Sm4Ga3Fe31 after structural relaxation, from the Materials Project database.

Unit cell a=6.4401 b=6.4870 c=12.9620 alpha=83.21 beta=82.87 gamma=83.11
Space group P1 (No. 1)
Inequivalent atoms, fractional coordinates:
1 Sm 0.0000 0.0000 0.0000 [1 per cell]
2 Sm 0.0006 0.0014 0.5031 [1 per cell]
3 Sm 0.3164 0.3196 0.6609 [1 per cell]
4 Sm 0.3196 0.3228 0.1605 [1 per cell]
5 Ga 0.0024 0.0027 0.2543 [1 per cell]
6 Ga 0.5054 0.0028 0.0023 [1 per cell]
7 Ga 0.5060 0.0024 0.5021 [1 per cell]
8 Fe 0.0004 0.0020 0.7533 [1 per cell]
9 Fe 0.0002 0.5031 0.5014 [1 per cell]
10 Fe 0.0004 0.5042 0.0020 [1 per cell]
11 Fe 0.1569 0.6582 0.8301 [1 per cell]
12 Fe 0.1577 0.6551 0.3300 [1 per cell]
13 Fe 0.3132 0.3198 0.9055 [1 per cell]
14 Fe 0.3135 0.8083 0.6605 [1 per cell]
15 Fe 0.3157 0.3199 0.4063 [1 per cell]
16 Fe 0.3177 0.8023 0.1601 [1 per cell]
17 Fe 0.3673 0.6568 0.9748 [1 per cell]
18 Fe 0.3676 0.6567 0.4743 [1 per cell]
19 Fe 0.3677 0.9475 0.8291 [1 per cell]
20 Fe 0.3699 0.9472 0.3287 [1 per cell]
21 Fe 0.5623 0.5615 0.2820 [1 per cell]
22 Fe 0.5626 0.5614 0.7817 [1 per cell]
23 Fe 0.6545 0.1615 0.3282 [1 per cell]
24 Fe 0.6546 0.9460 0.1860 [1 per cell]
25 Fe 0.6575 0.6551 0.0803 [1 per cell]
26 Fe 0.6574 0.6554 0.5808 [1 per cell]
27 Fe 0.6578 0.1581 0.8290 [1 per cell]
28 Fe 0.6585 0.3700 0.4744 [1 per cell]
29 Fe 0.6583 0.9472 0.6860 [1 per cell]
30 Fe 0.6589 0.3698 0.9743 [1 per cell]
31 Fe 0.7540 0.7505 0.3780 [1 per cell]
32 Fe 0.7552 0.7527 0.8777 [1 per cell]
33 Fe 0.8117 0.3203 0.1585 [1 per cell]
34 Fe 0.8149 0.3171 0.6592 [1 per cell]
35 Fe 0.9471 0.3692 0.3313 [1 per cell]
36 Fe 0.9477 0.3687 0.8305 [1 per cell]
37 Fe 0.9477 0.6566 0.1851 [1 per cell]
38 Fe 0.9493 0.6592 0.6852 [1 per cell]

Calculated values
VASP energy, eV/atom: -7.701
Volume, A^3/atom: 14.0

=====

The following is a GGA-PBE calculation of SmGa6Fe6 after structural relaxation, from the Materials Project database.

Unit cell a=5.0458 b=8.6010 c=8.6991 alpha=90.00 beta=90.00 gamma=90.00
Space group Immm (No. 71)
Inequivalent atoms, fractional coordinates:
1 Sm 0.0000 0.0000 0.0000 [2 per cell]
2 Ga 0.0000 0.0000 0.3455 [4 per cell]
3 Ga 0.0000 0.3321 0.0000 [4 per cell]
4 Ga 0.0000 0.5000 0.3117 [4 per cell]
5 Fe 0.0000 0.2568 0.5000 [4 per cell]
6 Fe 0.2500 0.2500 0.2500 [8 per cell]

Calculated values
VASP energy, eV/atom: -5.973
Volume, A^3/atom: 14.5

=====

The following is a GGA-PBE calculation of Sm2Ga5Fe12 after structural relaxation, from the Materials Project database.

Unit cell a=8.6534 b=8.6534 c=12.7538 alpha=90.00 beta=90.00 gamma=120.00
Space group R-3m (No. 166, hexagonal axes)
Inequivalent atoms, fractional coordinates:
1 Sm 0.0000 0.0000 0.1514 [6 per cell]
2 Ga 0.0000 0.0000 0.4039 [6 per cell]
3 Ga 0.0000 0.5000 0.0000 [9 per cell]
4 Fe 0.0000 0.3044 0.5000 [18 per cell]
5 Fe 0.0044 0.5022 0.6597 [18 per cell]

Calculated values
VASP energy, eV/atom: -6.722
Volume, A^3/atom: 14.5

=====

The following is a GGA-PBE calculation of TbGa6Fe6 after structural relaxation, from the Materials Project database.

Unit cell a=5.1478 b=8.6337 c=8.8260 alpha=90.00 beta=90.00 gamma=90.00
Space group Immm (No. 71)
Inequivalent atoms, fractional coordinates:
1 Tb 0.0000 0.0000 0.0000 [2 per cell]
2 Ga 0.0000 0.0000 0.3439 [4 per cell]
3 Ga 0.0000 0.3341 0.0000 [4 per cell]
4 Ga 0.0000 0.5000 0.3126 [4 per cell]
5 Fe 0.0000 0.2565 0.5000 [4 per cell]
6 Fe 0.2500 0.2500 0.2500 [8 per cell]

Calculated values
VASP energy, eV/atom: -5.964
Volume, A^3/atom: 15.1
Energy above the most stable polymorph in this dataset, kJ/mol of atoms: 0.00

=====

The following is a GGA-PBE calculation of TbGaFe after structural relaxation, from the Materials Project database.

Unit cell a=4.2017 b=4.2017 c=7.4124 alpha=90.00 beta=90.00 gamma=120.00
Space group P6_3/mmc (No. 194)
Inequivalent atoms, fractional coordinates:
1 Tb 0.0000 0.0000 0.0000 [2 per cell]
2 Ga 0.3333 0.6667 0.2500 [2 per cell]
3 Fe 0.3333 0.6667 0.7500 [2 per cell]

Calculated values
VASP energy, eV/atom: -5.590
Volume, A^3/atom: 18.9

=====

The following is a GGA-PBE calculation of Tb2Ga3Fe after structural relaxation, from the Materials Project database.

Unit cell a=4.2996 b=4.2996 c=7.5555 alpha=90.00 beta=90.00 gamma=120.00
Space group P-6m2 (No. 187)
Inequivalent atoms, fractional coordinates:
1 Tb 0.0000 0.0000 0.2327 [2 per cell]
2 Ga 0.3333 0.6667 0.0000 [1 per cell]
3 Ga 0.3333 0.6667 0.5000 [1 per cell]
4 Ga 0.6667 0.3333 0.5000 [1 per cell]
5 Fe 0.6667 0.3333 0.0000 [1 per cell]

Calculated values
VASP energy, eV/atom: -4.906
Volume, A^3/atom: 20.2

=====

The following is a GGA-PBE calculation of Tb2Ga8Fe after structural relaxation, from the Materials Project database.

Unit cell a=4.2667 b=4.2667 c=11.1469 alpha=90.00 beta=90.00 gamma=90.00
Space group P4/mmm (No. 123)
Inequivalent atoms, fractional coordinates:
1 Tb 0.0000 0.0000 0.1962 [2 per cell]
2 Ga 0.0000 0.5000 0.0000 [2 per cell]
3 Ga 0.0000 0.5000 0.3860 [4 per cell]
4 Ga 0.5000 0.5000 0.1982 [2 per cell]
5 Fe 0.0000 0.0000 0.5000 [1 per cell]

Calculated values
VASP energy, eV/atom: -4.270
Volume, A^3/atom: 18.4

=====

The following is a GGA-PBE calculation of TbGa6Fe6 after structural relaxation, from the Materials Project database.

Unit cell a=5.1860 b=12.0320 c=12.2659 alpha=90.00 beta=90.00 gamma=90.00
Space group Fmmm (No. 69)
Inequivalent atoms, fractional coordinates:
1 Tb 0.0000 0.0000 0.0000 [4 per cell]
2 Ga 0.0000 0.1672 0.1835 [16 per cell]
3 Ga 0.2500 0.2500 0.0000 [8 per cell]
4 Fe 0.0000 0.1011 0.3911 [16 per cell]
5 Fe 0.2500 0.0000 0.2500 [8 per cell]

Calculated values
VASP energy, eV/atom: -5.834
Volume, A^3/atom: 14.7
Energy above the most stable polymorph in this dataset, kJ/mol of atoms: 12.54

=====

The following is a GGA-PBE calculation of Tb4Ga12Fe after structural relaxation, from the Materials Project database.

Unit cell a=8.6154 b=8.6154 c=8.6154 alpha=90.00 beta=90.00 gamma=90.00
Space group Im-3m (No. 229)
Inequivalent atoms, fractional coordinates:
1 Tb 0.2500 0.2500 0.2500 [8 per cell]
2 Ga 0.0000 0.0000 0.2832 [12 per cell]
3 Ga 0.0000 0.2500 0.5000 [12 per cell]
4 Fe 0.0000 0.0000 0.0000 [2 per cell]

Calculated values
VASP energy, eV/atom: -4.260
Volume, A^3/atom: 18.8

=====

The following is a GGA-PBE calculation of Tm2Ga2Fe15 after structural relaxation, from the Materials Project database.

Unit cell a=8.3855 b=8.3855 c=8.3720 alpha=90.00 beta=90.00 gamma=120.00
Space group P6_3/mmc (No. 194)
Inequivalent atoms, fractional coordinates:
1 Tm 0.0000 0.0000 0.2500 [2 per cell]
2 Tm 0.3333 0.6667 0.2500 [2 per cell]
3 Ga 0.3333 0.6667 0.6007 [4 per cell]
4 Fe 0.0000 0.5000 0.0000 [6 per cell]
5 Fe 0.0271 0.3582 0.7500 [12 per cell]
6 Fe 0.1650 0.3301 0.0120 [12 per cell]

Calculated values
VASP energy, eV/atom: -7.545
Volume, A^3/atom: 13.4

=====

The following is a GGA-PBE calculation of Tm2Ga8Fe after structural relaxation, from the Materials Project database.

Unit cell a=4.2132 b=4.2132 c=11.1634 alpha=90.00 beta=90.00 gamma=90.00
Space group P4/mmm (No. 123)
Inequivalent atoms, fractional coordinates:
1 Tm 0.0000 0.0000 0.1944 [2 per cell]
2 Ga 0.0000 0.5000 0.0000 [2 per cell]
3 Ga 0.0000 0.5000 0.3845 [4 per cell]
4 Ga 0.5000 0.5000 0.1989 [2 per cell]
5 Fe 0.0000 0.0000 0.5000 [1 per cell]

Calculated values
VASP energy, eV/atom: -4.222
Volume, A^3/atom: 18.0